## 1
A plane-wave DFT calculation with PBE with a Hubbard U was carried out for a relaxed structure of MnFe2P2O16.

Calculated values
As for the crystal system: triclinic.

Cell: 7.8077 9.5311 10.1365 Å, 66.14 84.11 82.54°
Space group P-1 (No. 2)
Unique sites:
Mn  0.1607  0.1362  0.4117
Fe  0.1376  0.2272  0.7962
Fe  0.3641  0.7062  0.2769
P  0.1042  0.0311  0.1598
P  0.3847  0.3264  0.4898
O  0.0066  0.2444  0.4501
O  0.0594  0.0533  0.7725
O  0.0840  0.1387  0.0014
O  0.0992  0.6439  0.2448
O  0.1323  0.1437  0.2337
O  0.1880  0.9625  0.5276
O  0.2159  0.6591  0.1360
O  0.2294  0.3268  0.5965
O  0.2655  0.9150  0.1792
O  0.2937  0.3708  0.8389
O  0.3563  0.2225  0.4053
O  0.4049  0.2485  0.8474
O  0.4082  0.4865  0.3724
O  0.4214  0.3396  0.0885
O  0.4485  0.7465  0.4293
O  0.4958  0.2105  0.1152

---

## 2
A plane-wave DFT calculation with PBE with a Hubbard U was carried out for a relaxed structure of MnFe2P2O16.

Calculated values
As for the crystal system: triclinic.

Cell: 7.9096 10.2056 10.2385 Å, 61.02 89.78 88.76°
Space group P-1 (No. 2)
Unique sites:
Mn  0.1709  0.0739  0.0384
Fe  0.1696  0.7023  0.4860
Fe  0.3505  0.2108  0.5172
P  0.1068  0.3466  0.7024
P  0.3683  0.0291  0.3167
O  0.0024  0.9804  0.8648
O  0.0117  0.2015  0.3307
O  0.0507  0.2223  0.4400
O  0.0791  0.6788  0.3283
O  0.1313  0.5131  0.6560
O  0.1471  0.2600  0.8718
O  0.2265  0.2986  0.6142
O  0.2418  0.9032  0.4069
O  0.2690  0.9435  0.0220
O  0.3072  0.1244  0.1503
O  0.3739  0.1402  0.3768
O  0.4233  0.4297  0.9287
O  0.4367  0.6600  0.5058
O  0.4542  0.0371  0.6819
O  0.4751  0.4079  0.3650
O  0.4867  0.6599  0.0883

---

Stability comparison, relative energies in eV/atom: 1 0.011; 2 0.000

---

## 1
A plane-wave DFT calculation with PBE with a Hubbard U was carried out for a relaxed structure of Mn2Fe3Si3O12.

Calculated values
As for the crystal system: tetragonal.

Cell: 12.0455 12.0455 11.5889 Å, 90.00 90.00 90.00°
Space group I4_1/acd (No. 142, origin choice 2)
Unique sites:
Mn  0.0000  0.0000  0.0000
Fe  0.0000  0.2500  0.1250
Fe  0.1283  0.0000  0.2500
Si  0.0000  0.2500  0.3750
Si  0.1256  0.0000  0.7500
O  0.0351  0.0495  0.6541
O  0.0551  0.1605  0.9672
O  0.1590  0.0374  0.4443

---

## 2
A plane-wave DFT calculation with PBE with a Hubbard U was carried out for a relaxed structure of Mn2Fe3Si3O12.

Calculated values
As for the crystal system: cubic.

Cell: 11.8983 11.8983 11.8983 Å, 90.00 90.00 90.00°
Space group Ia-3d (No. 230)
Unique sites:
Mn  0.0000  0.0000  0.0000
Fe  0.0000  0.2500  0.1250
Si  0.0000  0.2500  0.3750
O  0.0350  0.0543  0.6585

---

Stability comparison, relative energies in eV/atom: 1 0.000; 2 0.025